Entry 1:
Computed, not measured: a relaxed NpMn3 crystal at the PBE level of DFT. Values from VASP.

Properties
For the size of the total moment, the calculation gives 0.10 μB/f.u. Its theoretical density is 12.9 g/cm³. The calculated total energy is -39.53 eV/f.u.

Quantum ESPRESSO input file:
```
&SYSTEM
  ibrav = 0, nat = 4, ntyp = 2
/
ATOMIC_SPECIES
Np 237.00 Np.upf
Mn 54.94 Mn.upf
ATOMIC_POSITIONS crystal
Np 0.000 0.000 0.000
Mn 0.000 0.500 0.500
Mn 0.500 0.000 0.500
Mn 0.500 0.500 0.000
CELL_PARAMETERS angstrom
3.723 0.000 0.000
0.000 3.723 0.000
0.000 0.000 3.723
```

Entry 2:
Computed, not measured: a relaxed ZrSnTe crystal at the PBE level of DFT. Values from VASP.

Properties
The corrected total energy (MP2020 scheme) is -6.05 eV/atom. Its theoretical density is 7.5 g/cm³. The calculated total energy is -17.74 eV/f.u.

Quantum ESPRESSO input file:
```
&SYSTEM
  ibrav = 0, nat = 6, ntyp = 3
/
ATOMIC_SPECIES
Zr 91.22 Zr.upf
Sn 118.71 Sn.upf
Te 127.60 Te.upf
ATOMIC_POSITIONS crystal
Zr 0.250 0.250 0.236
Zr 0.750 0.750 0.764
Sn 0.250 0.750 0.500
Sn 0.750 0.250 0.500
Te 0.250 0.250 0.881
Te 0.750 0.750 0.119
CELL_PARAMETERS angstrom
4.110 0.000 0.000
0.000 4.110 0.000
0.000 0.000 8.807
```

Entry 3:
Computed, not measured: a relaxed Mg6NbBiO8 crystal at the PBE level of DFT. Values from VASP.

Properties
For the size of the total moment, the calculation gives 2.62 μB/f.u. The corrected total energy (MP2020 scheme) is -6.20 eV/atom. Its theoretical density is 5.0 g/cm³. For the relative energy among the computed polymorphs, the calculation gives 40 meV/atom. The calculated total energy is -93.64 eV/f.u.

Quantum ESPRESSO input file:
```
&SYSTEM
  ibrav = 0, nat = 16, ntyp = 4
/
ATOMIC_SPECIES
Mg 24.30 Mg.upf
Nb 92.91 Nb.upf
Bi 208.98 Bi.upf
O 16.00 O.upf
ATOMIC_POSITIONS crystal
Mg 0.000 0.000 0.000
Mg 0.000 0.000 0.500
Mg 0.000 0.500 0.239
Mg 0.000 0.500 0.761
Mg 0.500 0.000 0.239
Mg 0.500 0.000 0.761
Nb 0.500 0.500 0.000
Bi 0.500 0.500 0.500
O 0.000 0.000 0.251
O 0.000 0.000 0.749
O 0.000 0.500 0.000
O 0.000 0.500 0.500
O 0.500 0.000 0.000
O 0.500 0.000 0.500
O 0.500 0.500 0.240
O 0.500 0.500 0.760
CELL_PARAMETERS angstrom
4.569 0.000 0.000
0.000 4.569 0.000
0.000 0.000 9.085
```

Entry 4:
Computed, not measured: a relaxed SmPPt crystal at the PBE level of DFT. Values from VASP.

Properties
Its theoretical density is 10.4 g/cm³. The calculated total energy is -20.23 eV/f.u.

Quantum ESPRESSO input file:
```
&SYSTEM
  ibrav = 0, nat = 3, ntyp = 3
/
ATOMIC_SPECIES
Sm 150.36 Sm.upf
P 30.97 P.upf
Pt 195.08 Pt.upf
ATOMIC_POSITIONS crystal
Sm 0.000 0.000 0.000
P 0.667 0.333 0.500
Pt 0.333 0.667 0.500
CELL_PARAMETERS angstrom
4.174 0.000 0.000
-2.087 3.615 0.000
0.000 0.000 3.988
```

Entry 5:
Computed, not measured: a relaxed MgO crystal at the PBE level of DFT. Values from VASP.

Properties
For the size of the total moment, the calculation gives 0.00 μB/f.u. The corrected total energy (MP2020 scheme) is -6.00 eV/atom. Its theoretical density is 2.8 g/cm³. The calculated total energy is -11.31 eV/f.u.

Quantum ESPRESSO input file:
```
&SYSTEM
  ibrav = 0, nat = 80, ntyp = 2
/
ATOMIC_SPECIES
Mg 24.30 Mg.upf
O 16.00 O.upf
ATOMIC_POSITIONS crystal
Mg 0.000 0.000 0.000
Mg 0.002 0.334 0.425
Mg 0.003 0.608 0.932
Mg 0.032 0.059 0.341
Mg 0.039 0.546 0.639
Mg 0.062 0.462 0.160
Mg 0.064 0.782 0.190
Mg 0.073 0.800 0.568
Mg 0.164 0.049 0.632
Mg 0.171 0.186 0.134
Mg 0.174 0.818 0.828
Mg 0.193 0.337 0.891
Mg 0.235 0.536 0.381
Mg 0.259 0.285 0.609
Mg 0.325 0.928 0.123
Mg 0.333 0.572 0.103
Mg 0.335 0.100 0.866
Mg 0.369 0.031 0.420
Mg 0.383 0.785 0.527
Mg 0.390 0.565 0.675
Mg 0.439 0.268 0.257
Mg 0.488 0.747 0.890
Mg 0.489 0.412 0.891
Mg 0.495 0.759 0.273
Mg 0.523 0.955 0.682
Mg 0.553 0.226 0.669
Mg 0.566 0.488 0.408
Mg 0.599 0.180 0.004
Mg 0.671 0.929 0.948
Mg 0.717 0.238 0.381
Mg 0.723 0.531 0.902
Mg 0.729 0.996 0.208
Mg 0.739 0.695 0.128
Mg 0.742 0.873 0.445
Mg 0.762 0.433 0.643
Mg 0.826 0.795 0.721
Mg 0.835 0.300 0.098
Mg 0.851 0.616 0.371
Mg 0.865 0.074 0.596
Mg 0.905 0.268 0.827
O 0.001 0.287 0.241
O 0.017 0.930 0.708
O 0.024 0.223 0.988
O 0.031 0.793 0.979
O 0.047 0.157 0.503
O 0.049 0.601 0.288
O 0.096 0.990 0.170
O 0.141 0.429 0.517
O 0.154 0.196 0.761
O 0.170 0.667 0.705
O 0.178 0.499 0.994
O 0.204 0.911 0.477
O 0.298 0.744 0.196
O 0.302 0.922 0.931
O 0.312 0.431 0.236
O 0.336 0.105 0.249
O 0.368 0.238 0.996
O 0.371 0.370 0.741
O 0.383 0.100 0.601
O 0.395 0.602 0.482
O 0.421 0.793 0.712
O 0.500 0.579 0.985
O 0.518 0.299 0.453
O 0.522 0.877 0.419
O 0.554 0.069 0.834
O 0.568 0.872 0.115
O 0.598 0.522 0.736
O 0.648 0.612 0.285
O 0.652 0.222 0.197
O 0.701 0.331 0.936
O 0.719 0.750 0.883
O 0.724 0.939 0.622
O 0.774 0.238 0.674
O 0.788 0.048 0.029
O 0.796 0.426 0.452
O 0.812 0.052 0.389
O 0.837 0.813 0.264
O 0.862 0.531 0.060
O 0.895 0.700 0.550
O 0.922 0.477 0.781
CELL_PARAMETERS angstrom
9.006 0.000 0.000
1.088 10.116 0.000
0.127 0.291 10.358
```

Entry 6:
Computed, not measured: a relaxed CuSe2Br crystal at the PBE level of DFT. Values from VASP.

Properties
The corrected total energy (MP2020 scheme) is -3.53 eV/atom. Its theoretical density is 4.4 g/cm³. The calculated total energy is -13.59 eV/f.u.

Quantum ESPRESSO input file:
```
&SYSTEM
  ibrav = 0, nat = 16, ntyp = 3
/
ATOMIC_SPECIES
Cu 63.55 Cu.upf
Se 78.96 Se.upf
Br 79.90 Br.upf
ATOMIC_POSITIONS crystal
Cu 0.181 0.137 0.248
Cu 0.181 0.363 0.748
Cu 0.819 0.637 0.252
Cu 0.819 0.863 0.752
Se 0.311 0.035 0.663
Se 0.311 0.465 0.163
Se 0.412 0.695 0.832
Se 0.412 0.805 0.332
Se 0.588 0.195 0.668
Se 0.588 0.305 0.168
Se 0.689 0.535 0.837
Se 0.689 0.965 0.337
Br 0.088 0.111 0.883
Br 0.088 0.389 0.383
Br 0.912 0.611 0.617
Br 0.912 0.889 0.117
CELL_PARAMETERS angstrom
7.887 0.000 0.000
0.000 4.995 0.000
-4.958 0.000 11.599
```

Entry 7:
Computed, not measured: a relaxed UHgO3 crystal at the PBE level of DFT. Values from VASP.

Properties
For the size of the total moment, the calculation gives 0.03 μB/f.u. The corrected total energy (MP2020 scheme) is -7.93 eV/atom. Its theoretical density is 10.2 g/cm³. The calculated total energy is -37.60 eV/f.u.

Quantum ESPRESSO input file:
```
&SYSTEM
  ibrav = 0, nat = 5, ntyp = 3
/
ATOMIC_SPECIES
U 238.03 U.upf
Hg 200.59 Hg.upf
O 16.00 O.upf
ATOMIC_POSITIONS crystal
U 0.000 0.000 0.000
Hg 0.500 0.500 0.500
O 0.000 0.000 0.500
O 0.000 0.500 0.000
O 0.500 0.000 0.000
CELL_PARAMETERS angstrom
4.289 0.000 0.000
0.000 4.289 0.000
0.000 0.000 4.289
```

Entry 8:
Computed, not measured: a relaxed TlCl crystal at the PBE level of DFT. Values from VASP.

Properties
The corrected total energy (MP2020 scheme) is -3.43 eV/atom. Its theoretical density is 5.7 g/cm³. The calculated total energy is -6.25 eV/f.u.

Quantum ESPRESSO input file:
```
&SYSTEM
  ibrav = 0, nat = 2, ntyp = 2
/
ATOMIC_SPECIES
Tl 204.38 Tl.upf
Cl 35.45 Cl.upf
ATOMIC_POSITIONS crystal
Tl 0.000 0.000 0.000
Cl 0.500 0.500 0.500
CELL_PARAMETERS angstrom
0.000 3.266 3.266
3.266 0.000 3.266
3.266 3.266 0.000
```

Entry 9:
Computed, not measured: a relaxed CrHg3 crystal at the PBE level of DFT. Values from VASP.

Properties
For the size of the total moment, the calculation gives 4.21 μB/f.u. Its theoretical density is 12.4 g/cm³. The calculated total energy is -9.12 eV/f.u.

Quantum ESPRESSO input file:
```
&SYSTEM
  ibrav = 0, nat = 4, ntyp = 2
/
ATOMIC_SPECIES
Cr 52.00 Cr.upf
Hg 200.59 Hg.upf
ATOMIC_POSITIONS crystal
Cr 0.000 0.000 0.000
Hg 0.000 0.500 0.500
Hg 0.500 0.000 0.500
Hg 0.500 0.500 0.000
CELL_PARAMETERS angstrom
4.439 0.000 0.000
0.000 4.439 0.000
0.000 0.000 4.439
```

Entry 10:
Computed, not measured: a relaxed Er6Mn4Al43 crystal at the PBE level of DFT. Values from VASP.

Properties
For the size of the total moment, the calculation gives 7.96 μB/f.u. Its theoretical density is 4.3 g/cm³. The calculated total energy is -239.27 eV/f.u.

Quantum ESPRESSO input file:
```
&SYSTEM
  ibrav = 0, nat = 106, ntyp = 3
/
ATOMIC_SPECIES
Er 167.26 Er.upf
Mn 54.94 Mn.upf
Al 26.98 Al.upf
ATOMIC_POSITIONS crystal
Er 0.000 0.468 0.095
Er 0.000 0.468 0.405
Er 0.000 0.532 0.595
Er 0.000 0.532 0.905
Er 0.468 0.000 0.095
Er 0.468 0.000 0.405
Er 0.468 0.468 0.595
Er 0.468 0.468 0.905
Er 0.532 0.000 0.595
Er 0.532 0.000 0.905
Er 0.532 0.532 0.095
Er 0.532 0.532 0.405
Mn 0.000 0.000 0.000
Mn 0.000 0.000 0.500
Mn 0.000 0.268 0.250
Mn 0.000 0.732 0.750
Mn 0.268 0.000 0.250
Mn 0.268 0.268 0.750
Mn 0.732 0.000 0.750
Mn 0.732 0.732 0.250
Al 0.000 0.145 0.750
Al 0.000 0.155 0.116
Al 0.000 0.155 0.384
Al 0.000 0.251 0.531
Al 0.000 0.251 0.969
Al 0.000 0.749 0.031
Al 0.000 0.749 0.469
Al 0.000 0.845 0.616
Al 0.000 0.845 0.884
Al 0.000 0.855 0.250
Al 0.145 0.000 0.750
Al 0.145 0.145 0.250
Al 0.145 0.548 0.250
Al 0.145 0.598 0.750
Al 0.155 0.000 0.116
Al 0.155 0.000 0.384
Al 0.155 0.155 0.616
Al 0.155 0.155 0.884
Al 0.158 0.391 0.666
Al 0.158 0.391 0.834
Al 0.158 0.767 0.166
Al 0.158 0.767 0.334
Al 0.233 0.391 0.166
Al 0.233 0.391 0.334
Al 0.233 0.842 0.666
Al 0.233 0.842 0.834
Al 0.246 0.492 0.000
Al 0.246 0.492 0.500
Al 0.246 0.754 0.000
Al 0.246 0.754 0.500
Al 0.251 0.000 0.531
Al 0.251 0.000 0.969
Al 0.251 0.251 0.031
Al 0.251 0.251 0.469
Al 0.333 0.667 0.127
Al 0.333 0.667 0.373
Al 0.333 0.667 0.627
Al 0.333 0.667 0.873
Al 0.391 0.158 0.666
Al 0.391 0.158 0.834
Al 0.391 0.233 0.166
Al 0.391 0.233 0.334
Al 0.402 0.548 0.750
Al 0.402 0.855 0.250
Al 0.452 0.598 0.250
Al 0.452 0.855 0.750
Al 0.492 0.246 0.000
Al 0.492 0.246 0.500
Al 0.508 0.754 0.000
Al 0.508 0.754 0.500
Al 0.548 0.145 0.250
Al 0.548 0.402 0.750
Al 0.598 0.145 0.750
Al 0.598 0.452 0.250
Al 0.609 0.767 0.666
Al 0.609 0.767 0.834
Al 0.609 0.842 0.166
Al 0.609 0.842 0.334
Al 0.667 0.333 0.127
Al 0.667 0.333 0.373
Al 0.667 0.333 0.627
Al 0.667 0.333 0.873
Al 0.749 0.000 0.031
Al 0.749 0.000 0.469
Al 0.749 0.749 0.531
Al 0.749 0.749 0.969
Al 0.754 0.246 0.000
Al 0.754 0.246 0.500
Al 0.754 0.508 0.000
Al 0.754 0.508 0.500
Al 0.767 0.158 0.166
Al 0.767 0.158 0.334
Al 0.767 0.609 0.666
Al 0.767 0.609 0.834
Al 0.842 0.233 0.666
Al 0.842 0.233 0.834
Al 0.842 0.609 0.166
Al 0.842 0.609 0.334
Al 0.845 0.000 0.616
Al 0.845 0.000 0.884
Al 0.845 0.845 0.116
Al 0.845 0.845 0.384
Al 0.855 0.000 0.250
Al 0.855 0.402 0.250
Al 0.855 0.452 0.750
Al 0.855 0.855 0.750
CELL_PARAMETERS angstrom
10.914 0.000 0.000
-5.457 9.452 0.000
0.000 0.000 17.646
```

Entry 11:
Computed, not measured: a relaxed SmPuO3 crystal at the PBE level of DFT. Values from VASP.

Properties
For the size of the total moment, the calculation gives 4.89 μB/f.u. The corrected total energy (MP2020 scheme) is -9.71 eV/atom. Its theoretical density is 8.9 g/cm³. The calculated total energy is -46.49 eV/f.u.

Quantum ESPRESSO input file:
```
&SYSTEM
  ibrav = 0, nat = 5, ntyp = 3
/
ATOMIC_SPECIES
Sm 150.36 Sm.upf
Pu 244.00 Pu.upf
O 16.00 O.upf
ATOMIC_POSITIONS crystal
Sm 0.000 0.000 0.000
Pu 0.500 0.500 0.500
O 0.000 0.500 0.500
O 0.500 0.000 0.500
O 0.500 0.500 0.000
CELL_PARAMETERS angstrom
4.354 0.000 0.000
0.000 4.354 0.000
0.000 0.000 4.354
```

Entry 12:
Computed, not measured: a relaxed ZnAg2C4S4N4 crystal at the PBE level of DFT. Values from VASP.

Properties
For the size of the total moment, the calculation gives 0.00 μB/f.u. The corrected total energy (MP2020 scheme) is -6.36 eV/atom. Its theoretical density is 2.8 g/cm³. For the relative energy among the computed polymorphs, the calculation gives 8 meV/atom. The calculated total energy is -91.96 eV/f.u.

Quantum ESPRESSO input file:
```
&SYSTEM
  ibrav = 0, nat = 30, ntyp = 5
/
ATOMIC_SPECIES
Zn 65.41 Zn.upf
Ag 107.87 Ag.upf
C 12.01 C.upf
S 32.06 S.upf
N 14.01 N.upf
ATOMIC_POSITIONS crystal
Zn 0.164 0.836 0.500
Zn 0.836 0.164 0.000
Ag 0.203 0.387 0.987
Ag 0.387 0.203 0.487
Ag 0.606 0.803 0.014
Ag 0.803 0.606 0.514
C 0.090 0.161 0.402
C 0.161 0.090 0.902
C 0.355 0.480 0.284
C 0.480 0.355 0.784
C 0.526 0.635 0.710
C 0.635 0.526 0.210
C 0.837 0.907 0.583
C 0.907 0.837 0.083
S 0.088 0.310 0.359
S 0.271 0.463 0.721
S 0.310 0.088 0.859
S 0.463 0.271 0.221
S 0.531 0.734 0.274
S 0.691 0.907 0.632
S 0.734 0.531 0.774
S 0.907 0.691 0.132
N 0.052 0.095 0.927
N 0.095 0.052 0.427
N 0.278 0.630 0.330
N 0.375 0.713 0.668
N 0.630 0.278 0.830
N 0.713 0.375 0.168
N 0.908 0.941 0.056
N 0.941 0.908 0.556
CELL_PARAMETERS angstrom
9.968 -3.901 0.000
9.968 3.901 0.000
-0.896 0.000 7.887
```

| no. | formation energy from the elements (eV/atom) |
| --- | --- |
| 1 | 0.227 |
| 2 | -0.821 |
| 3 | -2.247 |
| 4 | -1.342 |
| 5 | -2.724 |
| 6 | -0.348 |
| 7 | -2.645 |
| 8 | -1.324 |
| 9 | 0.362 |
| 10 | -0.267 |
| 11 | -2.944 |
| 12 | -0.112 |